This record from the Materials Project describes a relaxed structure of U3Se5. The functional is PBE.

Output
formation energy: -1.45 eV per atom
ΔE to the lowest computed polymorph: 0.0 meV/atom
space group: Pnma, No. 62
total energy: -7.58 eV per atom

Lattice parameters (Å, degrees): 12.220 8.189 7.694 90.00 90.00 90.00
Element x y z (fractional)
U  0.006  0.250  0.080
U  0.181  0.000  0.524
U  0.181  0.500  0.524
U  0.319  0.000  0.024
U  0.319  0.500  0.024
U  0.494  0.750  0.580
U  0.506  0.250  0.420
U  0.681  0.000  0.976
U  0.681  0.500  0.976
U  0.819  0.000  0.476
U  0.819  0.500  0.476
U  0.994  0.750  0.920
Se  0.000  0.250  0.464
Se  0.000  0.750  0.536
Se  0.098  0.549  0.171
Se  0.098  0.951  0.171
Se  0.185  0.250  0.831
Se  0.218  0.750  0.800
Se  0.282  0.250  0.300
Se  0.315  0.750  0.331
Se  0.402  0.049  0.671
Se  0.402  0.451  0.671
Se  0.500  0.250  0.036
Se  0.500  0.750  0.964
Se  0.598  0.549  0.329
Se  0.598  0.951  0.329
Se  0.685  0.250  0.669
Se  0.718  0.750  0.700
Se  0.782  0.250  0.200
Se  0.815  0.750  0.169
Se  0.902  0.049  0.829
Se  0.902  0.451  0.829

---

This record from the Materials Project describes a relaxed structure of Na5Ca2Sn2P5SO24. The functional is PBE.

Output
formation energy: -2.60 eV per atom
space group: P1, No. 1
total energy: -6.50 eV per atom
total magnetic moment: 0.000 μB/atom

Lattice parameters (Å, degrees): 9.132 9.134 22.925 90.14 90.22 119.96
Element x y z (fractional)
Na  0.000  0.000  0.000
Na  0.000  0.003  0.487
Na  0.007  0.632  0.741
Na  0.312  0.654  0.657
Na  0.314  0.971  0.572
Na  0.333  0.670  0.160
Na  0.359  0.359  0.750
Na  0.368  0.015  0.245
Na  0.630  0.014  0.750
Na  0.641  0.317  0.837
Na  0.648  0.636  0.245
Na  0.658  0.697  0.570
Na  0.661  0.336  0.333
Na  0.974  0.298  0.918
Na  0.990  0.359  0.244
Ca  0.001  0.998  0.351
Ca  0.006  0.004  0.856
Ca  0.329  0.666  0.513
Ca  0.341  0.675  0.819
Ca  0.667  0.334  0.173
Ca  0.670  0.334  0.677
Sn  0.001  0.004  0.145
Sn  0.007  0.014  0.643
Sn  0.343  0.677  0.318
Sn  0.344  0.674  0.016
Sn  0.656  0.330  0.989
Sn  0.664  0.335  0.480
P  0.003  0.299  0.749
P  0.010  0.710  0.247
P  0.291  0.000  0.744
P  0.292  0.304  0.248
P  0.347  0.378  0.917
P  0.348  0.980  0.417
P  0.355  0.025  0.082
P  0.366  0.331  0.583
P  0.631  0.658  0.418
P  0.631  0.980  0.918
P  0.672  0.644  0.082
P  0.677  0.042  0.582
P  0.703  0.997  0.247
P  0.962  0.642  0.584
P  0.977  0.338  0.080
S  0.026  0.376  0.413
S  0.027  0.657  0.919
S  0.709  0.714  0.745
O  0.002  0.206  0.409
O  0.003  0.803  0.918
O  0.023  0.204  0.693
O  0.049  0.829  0.192
O  0.094  0.631  0.863
O  0.106  0.477  0.357
O  0.126  0.460  0.464
O  0.141  0.677  0.968
O  0.142  0.678  0.576
O  0.156  0.495  0.069
O  0.167  0.473  0.748
O  0.175  0.225  0.192
O  0.177  0.010  0.084
O  0.181  0.702  0.254
O  0.185  0.205  0.920
O  0.185  0.976  0.685
O  0.190  0.159  0.582
O  0.197  0.015  0.796
O  0.199  0.009  0.412
O  0.214  0.194  0.300
O  0.301  0.484  0.254
O  0.308  0.839  0.745
O  0.320  0.482  0.966
O  0.332  0.845  0.071
O  0.334  0.883  0.472
O  0.347  0.485  0.576
O  0.367  0.890  0.359
O  0.373  0.464  0.858
O  0.446  0.145  0.030
O  0.450  0.088  0.139
O  0.456  0.351  0.641
O  0.460  0.297  0.532
O  0.468  0.160  0.743
O  0.472  0.335  0.240
O  0.510  0.365  0.928
O  0.514  0.667  0.072
O  0.519  0.632  0.359
O  0.521  0.155  0.417
O  0.523  0.864  0.575
O  0.524  0.826  0.252
O  0.526  0.862  0.968
O  0.540  0.701  0.746
O  0.544  0.919  0.858
O  0.545  0.666  0.472
O  0.643  0.552  0.139
O  0.644  0.490  0.418
O  0.652  0.163  0.926
O  0.653  0.109  0.640
O  0.671  0.145  0.239
O  0.688  0.543  0.742
O  0.698  0.550  0.029
O  0.702  0.162  0.529
O  0.782  0.959  0.191
O  0.790  0.813  0.689
O  0.805  0.812  0.413
O  0.810  0.004  0.921
O  0.812  0.800  0.796
O  0.813  0.030  0.300
O  0.835  0.823  0.083
O  0.837  0.546  0.531
O  0.840  0.023  0.583
O  0.847  0.322  0.744
O  0.857  0.368  0.416
O  0.859  0.312  0.025
O  0.860  0.495  0.926
O  0.862  0.530  0.238
O  0.894  0.557  0.642
O  0.909  0.367  0.136
O  0.965  0.819  0.583
O  0.975  0.785  0.300
O  0.981  0.197  0.804
O  0.990  0.173  0.082